(1)
NaLi3Fe4Si8O24 | PBE+U | optimized geometry

abc: 5.361 6.586 12.925
angles: 90.44 99.27 104.41
Space group P1 (No. 1)
Symmetry-distinct sites (fractional):
Na 0.000 0.000 0.000 [1 per cell]
Li 0.281 0.562 0.781 [1 per cell]
Li 0.510 0.021 0.510 [1 per cell]
Li 0.781 0.563 0.281 [1 per cell]
Fe 0.096 0.191 0.595 [1 per cell]
Fe 0.196 0.393 0.197 [1 per cell]
Fe 0.596 0.193 0.097 [1 per cell]
Fe 0.697 0.392 0.696 [1 per cell]
Si 0.053 0.677 0.544 [1 per cell]
Si 0.242 0.908 0.250 [1 per cell]
Si 0.335 0.089 0.836 [1 per cell]
Si 0.463 0.497 0.454 [1 per cell]
Si 0.545 0.674 0.044 [1 per cell]
Si 0.741 0.907 0.747 [1 per cell]
Si 0.829 0.087 0.339 [1 per cell]
Si 0.958 0.496 0.954 [1 per cell]
O 0.027 0.937 0.324 [1 per cell]
O 0.029 0.494 0.631 [1 per cell]
O 0.032 0.939 0.820 [1 per cell]
O 0.128 0.670 0.201 [1 per cell]
O 0.165 0.916 0.591 [1 per cell]
O 0.260 0.646 0.968 [1 per cell]
O 0.265 0.646 0.469 [1 per cell]
O 0.270 0.096 0.165 [1 per cell]
O 0.350 0.263 0.745 [1 per cell]
O 0.400 0.188 0.955 [1 per cell]
O 0.409 0.403 0.334 [1 per cell]
O 0.443 0.321 0.545 [1 per cell]
O 0.527 0.492 0.131 [1 per cell]
O 0.528 0.936 0.325 [1 per cell]
O 0.531 0.938 0.822 [1 per cell]
O 0.627 0.668 0.700 [1 per cell]
O 0.649 0.911 0.094 [1 per cell]
O 0.756 0.644 0.968 [1 per cell]
O 0.762 0.090 0.660 [1 per cell]
O 0.765 0.646 0.469 [1 per cell]
O 0.849 0.262 0.247 [1 per cell]
O 0.884 0.183 0.458 [1 per cell]
O 0.907 0.400 0.834 [1 per cell]
O 0.942 0.329 0.048 [1 per cell]

Properties
**Volume**: 435.7 Å³/cell
**Formation energy from the elements**: -2.75 eV per atom


(2)
Fe2Si2SbO9 | PBE+U | optimized geometry

abc: 5.311 9.050 8.056
angles: 90.00 102.27 90.00
Space group Cm (No. 8)
Symmetry-distinct sites (fractional):
Fe 0.000 0.163 0.000 [4 per cell]
Si 0.211 0.170 0.649 [4 per cell]
Sb 0.086 0.500 0.250 [2 per cell]
O 0.190 0.000 0.581 [2 per cell]
O 0.210 0.000 0.144 [2 per cell]
O 0.212 0.327 0.139 [4 per cell]
O 0.275 0.185 0.856 [4 per cell]
O 0.349 0.500 0.870 [2 per cell]
O 0.436 0.249 0.568 [4 per cell]

Properties
**Volume**: 378.4 Å³/cell
**Formation energy from the elements**: -2.26 eV per atom


(3)
Nd2TlMo4O16 | PBE+U | optimized geometry

abc: 5.432 12.732 19.845
angles: 90.00 92.68 90.00
Space group C2/c (No. 15)
Symmetry-distinct sites (fractional):
Nd 0.001 0.147 0.033 [8 per cell]
Tl 0.000 0.025 0.250 [4 per cell]
Mo 0.013 0.440 0.092 [8 per cell]
Mo 0.014 0.259 0.652 [8 per cell]
O 0.104 0.410 0.330 [8 per cell]
O 0.106 0.135 0.824 [8 per cell]
O 0.156 0.330 0.046 [8 per cell]
O 0.168 0.241 0.570 [8 per cell]
O 0.224 0.309 0.715 [8 per cell]
O 0.227 0.453 0.603 [8 per cell]
O 0.244 0.018 0.537 [8 per cell]
O 0.244 0.347 0.864 [8 per cell]

Properties
**Volume**: 1371.1 Å³/cell
**Formation energy from the elements**: -2.32 eV per atom


(4)
Li13Co15O28 | PBE+U | optimized geometry

abc: 7.769 8.256 8.890
angles: 103.94 104.98 104.54
Space group P-1 (No. 2)
Symmetry-distinct sites (fractional):
Li 0.000 0.000 0.000 [1 per cell]
Li 0.070 0.712 0.786 [2 per cell]
Li 0.145 0.428 0.573 [2 per cell]
Li 0.216 0.146 0.357 [2 per cell]
Li 0.282 0.854 0.140 [2 per cell]
Li 0.354 0.570 0.928 [2 per cell]
Li 0.428 0.289 0.715 [2 per cell]
Co 0.000 0.500 0.000 [1 per cell]
Co 0.072 0.214 0.787 [2 per cell]
Co 0.147 0.932 0.577 [2 per cell]
Co 0.212 0.640 0.353 [2 per cell]
Co 0.288 0.357 0.140 [2 per cell]
Co 0.359 0.072 0.934 [2 per cell]
Co 0.434 0.784 0.713 [2 per cell]
Co 0.500 0.000 0.500 [1 per cell]
Co 0.500 0.500 0.500 [1 per cell]
O 0.009 0.266 0.995 [2 per cell]
O 0.060 0.456 0.797 [2 per cell]
O 0.096 0.976 0.795 [2 per cell]
O 0.132 0.167 0.575 [2 per cell]
O 0.153 0.693 0.575 [2 per cell]
O 0.221 0.406 0.350 [2 per cell]
O 0.228 0.890 0.371 [2 per cell]
O 0.265 0.595 0.136 [2 per cell]
O 0.296 0.114 0.151 [2 per cell]
O 0.357 0.305 0.940 [2 per cell]
O 0.376 0.843 0.931 [2 per cell]
O 0.430 0.030 0.699 [2 per cell]
O 0.432 0.542 0.711 [2 per cell]
O 0.495 0.763 0.502 [2 per cell]

Properties
**Volume**: 503.9 Å³/cell
**ΔE to the lowest computed polymorph**: 0.0 meV/atom
**Formation energy from the elements**: -1.63 eV per atom


(5)
Li7V7P6O24F3 | PBE+U | optimized geometry

abc: 13.6588 13.6588 6.4497
angles: 90.00 90.00 120.00
Space group P6_3 (No. 173)
Symmetry-distinct sites (fractional):
Li 0.0720 0.8167 0.0000 [6 per cell]
Li 0.1243 0.6244 0.5009 [6 per cell]
Li 0.3333 0.6667 0.3189 [2 per cell]
V 0.0000 0.0000 0.2496 [2 per cell]
V 0.1231 0.4174 0.2456 [6 per cell]
V 0.1265 0.4211 0.7459 [6 per cell]
P 0.0592 0.8169 0.4979 [6 per cell]
P 0.1169 0.6322 0.9968 [6 per cell]
O 0.0021 0.6343 0.0021 [6 per cell]
O 0.0114 0.3170 0.9952 [6 per cell]
O 0.0152 0.1245 0.9992 [6 per cell]
O 0.1181 0.5720 0.7956 [6 per cell]
O 0.1302 0.5771 0.1966 [6 per cell]
O 0.1311 0.8524 0.6959 [6 per cell]
O 0.1317 0.8549 0.3009 [6 per cell]
O 0.2155 0.7567 0.9954 [6 per cell]
F 0.2415 0.5162 0.4863 [6 per cell]

Properties
**Volume**: 1042.1 Å³/cell
**Formation energy from the elements**: -2.67 eV per atom


(6)
ZnNi2O4 | PBE+U | optimized geometry

abc: 13.974 2.968 9.231
angles: 90.00 130.30 90.00
Space group C2/m (No. 12)
Symmetry-distinct sites (fractional):
Zn 0.168 0.000 0.178 [4 per cell]
Ni 0.139 0.000 0.463 [4 per cell]
Ni 0.141 0.500 0.810 [4 per cell]
O 0.031 0.000 0.748 [4 per cell]
O 0.136 0.500 0.592 [4 per cell]
O 0.174 0.500 0.343 [4 per cell]
O 0.207 0.500 0.072 [4 per cell]

Properties
**Volume**: 292.0 Å³/cell
**ΔE to the lowest computed polymorph**: 209.0 meV/atom
**Formation energy from the elements**: -1.02 eV per atom


(7)
Ba2DyCoCu2O7 | PBE+U | optimized geometry

abc: 3.856 3.912 11.856
angles: 90.00 90.00 90.00
Space group Pmmm (No. 47)
Symmetry-distinct sites (fractional):
Ba 0.000 0.000 0.184 [2 per cell]
Dy 0.000 0.000 0.500 [1 per cell]
Co 0.500 0.500 0.000 [1 per cell]
Cu 0.500 0.500 0.360 [2 per cell]
O 0.000 0.500 0.379 [2 per cell]
O 0.500 0.000 0.000 [1 per cell]
O 0.500 0.000 0.379 [2 per cell]
O 0.500 0.500 0.152 [2 per cell]

Properties
**Volume**: 178.9 Å³/cell
**Formation energy from the elements**: -2.23 eV per atom


(8)
Na2MgFe2P3O12 | PBE+U | optimized geometry

abc: 11.915 12.619 6.571
angles: 90.00 114.01 90.00
Space group C2/c (No. 15)
Symmetry-distinct sites (fractional):
Na 0.000 0.000 0.000 [4 per cell]
Na 0.000 0.484 0.250 [4 per cell]
Mg 0.000 0.233 0.750 [4 per cell]
Fe 0.219 0.338 0.626 [8 per cell]
P 0.000 0.211 0.250 [4 per cell]
P 0.236 0.390 0.120 [8 per cell]
O 0.040 0.282 0.464 [8 per cell]
O 0.102 0.135 0.254 [8 per cell]
O 0.127 0.105 0.829 [8 per cell]
O 0.160 0.335 0.890 [8 per cell]
O 0.175 0.500 0.110 [8 per cell]
O 0.221 0.324 0.309 [8 per cell]

Properties
**Volume**: 902.5 Å³/cell
**Formation energy from the elements**: -2.55 eV per atom


(9)
Fe8O9 | PBE+U | optimized geometry

abc: 6.191 6.835 9.262
angles: 102.96 90.29 103.73
Space group P1 (No. 1)
Symmetry-distinct sites (fractional):
Fe 0.000 0.000 0.000 [1 per cell]
Fe 0.002 0.008 0.339 [1 per cell]
Fe 0.162 0.670 0.453 [1 per cell]
Fe 0.169 0.674 0.117 [1 per cell]
Fe 0.320 0.351 0.890 [1 per cell]
Fe 0.328 0.339 0.559 [1 per cell]
Fe 0.333 0.327 0.227 [1 per cell]
Fe 0.489 0.002 0.000 [1 per cell]
Fe 0.490 0.999 0.670 [1 per cell]
Fe 0.655 0.678 0.445 [1 per cell]
Fe 0.660 0.674 0.121 [1 per cell]
Fe 0.665 0.664 0.780 [1 per cell]
Fe 0.820 0.326 0.229 [1 per cell]
Fe 0.823 0.332 0.556 [1 per cell]
Fe 0.836 0.346 0.891 [1 per cell]
Fe 0.995 0.998 0.672 [1 per cell]
O 0.055 0.310 0.720 [1 per cell]
O 0.073 0.327 0.063 [1 per cell]
O 0.079 0.336 0.391 [1 per cell]
O 0.221 0.005 0.519 [1 per cell]
O 0.229 0.006 0.154 [1 per cell]
O 0.236 0.025 0.845 [1 per cell]
O 0.416 0.649 0.276 [1 per cell]
O 0.431 0.671 0.601 [1 per cell]
O 0.439 0.669 0.961 [1 per cell]
O 0.574 0.328 0.725 [1 per cell]
O 0.589 0.350 0.059 [1 per cell]
O 0.595 0.366 0.399 [1 per cell]
O 0.759 0.990 0.514 [1 per cell]
O 0.760 0.995 0.153 [1 per cell]
O 0.763 0.999 0.839 [1 per cell]
O 0.894 0.672 0.282 [1 per cell]
O 0.897 0.681 0.606 [1 per cell]
O 0.902 0.682 0.971 [1 per cell]

Properties
**Volume**: 370.4 Å³/cell
**ΔE to the lowest computed polymorph**: 0.0 meV/atom
**Formation energy from the elements**: -1.50 eV per atom


(10)
Sr2CaWO6 | PBE+U | optimized geometry

abc: 5.839 5.946 10.119
angles: 90.00 124.99 90.00
Space group P2_1/c (No. 14)
Symmetry-distinct sites (fractional):
Sr 0.241 0.042 0.251 [4 per cell]
Ca 0.500 0.000 0.000 [2 per cell]
W 0.000 0.000 0.500 [2 per cell]
O 0.135 0.231 0.951 [4 per cell]
O 0.228 0.688 0.958 [4 per cell]
O 0.312 0.028 0.727 [4 per cell]

Properties
**Volume**: 287.8 Å³/cell
**Formation energy from the elements**: -3.05 eV per atom


Total energy list, top to bottom, in eV/atom: -7.185 -6.962 -7.133 -5.665 -7.017 -4.562 -6.225 -6.756 -6.679 -6.997